[1]
A plane-wave DFT calculation with r2SCAN was carried out for a geometry-optimized TbCoC structure. Values from VASP.

Quantum ESPRESSO input file:
```
&SYSTEM
  ibrav = 0, nat = 6, ntyp = 3
/
ATOMIC_SPECIES
Tb 158.93 Tb.upf
Co 58.93 Co.upf
C 12.01 C.upf
ATOMIC_POSITIONS crystal
Tb 0.000 0.000 0.250
Tb 0.000 0.000 0.750
Co 0.500 0.500 0.000
Co 0.500 0.500 0.500
C 0.000 0.500 0.000
C 0.500 0.000 0.500
CELL_PARAMETERS angstrom
3.631 0.000 0.000
0.000 3.631 0.000
0.000 0.000 6.943
```


[2]
A plane-wave DFT calculation with r2SCAN was carried out for a geometry-optimized HoFe2Ge2 structure. Values from VASP.

Quantum ESPRESSO input file:
```
&SYSTEM
  ibrav = 0, nat = 5, ntyp = 3
/
ATOMIC_SPECIES
Ho 164.93 Ho.upf
Fe 55.84 Fe.upf
Ge 72.64 Ge.upf
ATOMIC_POSITIONS crystal
Ho 0.000 0.000 0.000
Fe 0.250 0.750 0.500
Fe 0.750 0.250 0.500
Ge 0.386 0.386 0.000
Ge 0.614 0.614 0.000
CELL_PARAMETERS angstrom
-1.949 1.949 5.427
1.949 -1.949 5.427
1.949 1.949 -5.427
```


[3]
A plane-wave DFT calculation with r2SCAN was carried out for a geometry-optimized Dy2Co3Si5 structure. Values from VASP.

Quantum ESPRESSO input file:
```
&SYSTEM
  ibrav = 0, nat = 20, ntyp = 3
/
ATOMIC_SPECIES
Dy 162.50 Dy.upf
Co 58.93 Co.upf
Si 28.09 Si.upf
ATOMIC_POSITIONS crystal
Dy 0.098 0.369 0.236
Dy 0.369 0.098 0.736
Dy 0.631 0.902 0.264
Dy 0.902 0.631 0.764
Co 0.039 0.763 0.373
Co 0.237 0.961 0.127
Co 0.496 0.504 0.250
Co 0.504 0.496 0.750
Co 0.763 0.039 0.873
Co 0.961 0.237 0.627
Si 0.012 0.988 0.750
Si 0.239 0.438 0.836
Si 0.270 0.730 0.750
Si 0.285 0.715 0.250
Si 0.438 0.239 0.336
Si 0.562 0.761 0.664
Si 0.715 0.285 0.750
Si 0.730 0.270 0.250
Si 0.761 0.562 0.164
Si 0.988 0.012 0.250
CELL_PARAMETERS angstrom
5.340 -5.676 0.000
5.340 5.676 0.000
-2.628 0.000 4.801
```


[4]
A plane-wave DFT calculation with r2SCAN was carried out for a geometry-optimized Y2OsC2 structure. Values from VASP.

Quantum ESPRESSO input file:
```
&SYSTEM
  ibrav = 0, nat = 20, ntyp = 3
/
ATOMIC_SPECIES
Y 88.91 Y.upf
Os 190.23 Os.upf
C 12.01 C.upf
ATOMIC_POSITIONS crystal
Y 0.027 0.250 0.219
Y 0.184 0.250 0.552
Y 0.316 0.750 0.052
Y 0.473 0.750 0.719
Y 0.527 0.250 0.281
Y 0.684 0.250 0.948
Y 0.816 0.750 0.448
Y 0.973 0.750 0.781
Os 0.226 0.250 0.864
Os 0.274 0.750 0.364
Os 0.726 0.250 0.636
Os 0.774 0.750 0.136
C 0.038 0.750 0.242
C 0.178 0.750 0.551
C 0.322 0.250 0.051
C 0.462 0.250 0.742
C 0.538 0.750 0.258
C 0.678 0.750 0.949
C 0.822 0.250 0.449
C 0.962 0.250 0.758
CELL_PARAMETERS angstrom
6.444 0.000 0.000
0.000 5.132 0.000
0.000 0.000 9.802
```


[5]
A plane-wave DFT calculation with r2SCAN was carried out for a geometry-optimized CePmTl2 structure. Values from VASP.

Quantum ESPRESSO input file:
```
&SYSTEM
  ibrav = 0, nat = 4, ntyp = 3
/
ATOMIC_SPECIES
Ce 140.12 Ce.upf
Pm 145.00 Pm.upf
Tl 204.38 Tl.upf
ATOMIC_POSITIONS crystal
Ce 0.000 0.000 0.000
Pm 0.500 0.500 0.500
Tl 0.250 0.250 0.250
Tl 0.750 0.750 0.750
CELL_PARAMETERS angstrom
0.000 3.884 3.884
3.884 0.000 3.884
3.884 3.884 0.000
```


[6]
A plane-wave DFT calculation with r2SCAN was carried out for a geometry-optimized Mg5Si16Pd10 structure. Values from VASP.

Quantum ESPRESSO input file:
```
&SYSTEM
  ibrav = 0, nat = 31, ntyp = 3
/
ATOMIC_SPECIES
Mg 24.30 Mg.upf
Si 28.09 Si.upf
Pd 106.42 Pd.upf
ATOMIC_POSITIONS crystal
Mg 0.000 0.000 0.000
Mg 0.040 0.653 0.653
Mg 0.653 0.040 0.653
Mg 0.653 0.653 0.040
Mg 0.653 0.653 0.653
Si 0.045 0.045 0.322
Si 0.045 0.045 0.587
Si 0.045 0.322 0.045
Si 0.045 0.322 0.587
Si 0.045 0.587 0.045
Si 0.045 0.587 0.322
Si 0.322 0.045 0.045
Si 0.322 0.045 0.587
Si 0.322 0.587 0.045
Si 0.428 0.428 0.428
Si 0.428 0.428 0.715
Si 0.428 0.715 0.428
Si 0.587 0.045 0.045
Si 0.587 0.045 0.322
Si 0.587 0.322 0.045
Si 0.715 0.428 0.428
Pd 0.264 0.264 0.736
Pd 0.264 0.736 0.264
Pd 0.264 0.736 0.736
Pd 0.381 0.873 0.873
Pd 0.736 0.264 0.264
Pd 0.736 0.264 0.736
Pd 0.736 0.736 0.264
Pd 0.873 0.381 0.873
Pd 0.873 0.873 0.381
Pd 0.873 0.873 0.873
CELL_PARAMETERS angstrom
0.000 6.291 6.291
6.291 0.000 6.291
6.291 6.291 0.000
```


[7]
A plane-wave DFT calculation with r2SCAN was carried out for a geometry-optimized Eu2Ni3Sb4 structure. Values from VASP.

Quantum ESPRESSO input file:
```
&SYSTEM
  ibrav = 0, nat = 9, ntyp = 3
/
ATOMIC_SPECIES
Eu 151.96 Eu.upf
Ni 58.69 Ni.upf
Sb 121.76 Sb.upf
ATOMIC_POSITIONS crystal
Eu 0.000 0.500 0.244
Eu 0.500 0.000 0.756
Ni 0.000 0.000 0.000
Ni 0.000 0.000 0.500
Ni 0.500 0.500 0.500
Sb 0.000 0.500 0.616
Sb 0.000 0.500 0.895
Sb 0.500 0.000 0.105
Sb 0.500 0.000 0.384
CELL_PARAMETERS angstrom
4.358 0.000 0.000
0.000 4.358 0.000
0.000 0.000 10.598
```


[8]
A plane-wave DFT calculation with r2SCAN was carried out for a geometry-optimized CeInAu structure. Values from VASP.

Quantum ESPRESSO input file:
```
&SYSTEM
  ibrav = 0, nat = 9, ntyp = 3
/
ATOMIC_SPECIES
Ce 140.12 Ce.upf
In 114.82 In.upf
Au 196.97 Au.upf
ATOMIC_POSITIONS crystal
Ce 0.000 0.585 0.000
Ce 0.415 0.415 0.000
Ce 0.585 0.000 0.000
In 0.000 0.248 0.500
In 0.248 0.000 0.500
In 0.752 0.752 0.500
Au 0.000 0.000 0.000
Au 0.333 0.667 0.500
Au 0.667 0.333 0.500
CELL_PARAMETERS angstrom
7.770 0.000 0.000
-3.885 6.729 0.000
0.000 0.000 4.267
```


[9]
A plane-wave DFT calculation with r2SCAN was carried out for a geometry-optimized NdCd structure. Values from VASP.

Quantum ESPRESSO input file:
```
&SYSTEM
  ibrav = 0, nat = 2, ntyp = 2
/
ATOMIC_SPECIES
Nd 144.24 Nd.upf
Cd 112.41 Cd.upf
ATOMIC_POSITIONS crystal
Nd 0.000 0.000 0.000
Cd 0.500 0.500 0.500
CELL_PARAMETERS angstrom
3.845 0.000 0.000
0.000 3.845 0.000
0.000 0.000 3.845
```


[10]
A plane-wave DFT calculation with r2SCAN was carried out for a geometry-optimized LuThRu2 structure. Values from VASP.

Quantum ESPRESSO input file:
```
&SYSTEM
  ibrav = 0, nat = 4, ntyp = 3
/
ATOMIC_SPECIES
Lu 174.97 Lu.upf
Th 232.04 Th.upf
Ru 101.07 Ru.upf
ATOMIC_POSITIONS crystal
Lu 0.000 0.000 0.000
Th 0.500 0.500 0.500
Ru 0.250 0.250 0.250
Ru 0.750 0.750 0.750
CELL_PARAMETERS angstrom
0.000 3.433 3.433
3.433 0.000 3.433
3.433 3.433 0.000
```


[11]
A plane-wave DFT calculation with r2SCAN was carried out for a geometry-optimized Tb3Cu4Sn4 structure. Values from VASP.

Quantum ESPRESSO input file:
```
&SYSTEM
  ibrav = 0, nat = 11, ntyp = 3
/
ATOMIC_SPECIES
Tb 158.93 Tb.upf
Cu 63.55 Cu.upf
Sn 118.71 Sn.upf
ATOMIC_POSITIONS crystal
Tb 0.000 0.000 0.000
Tb 0.132 0.633 0.264
Tb 0.868 0.367 0.736
Cu 0.326 0.642 0.658
Cu 0.330 0.018 0.662
Cu 0.670 0.982 0.338
Cu 0.674 0.358 0.342
Sn 0.218 0.215 0.433
Sn 0.499 0.701 0.998
Sn 0.501 0.299 0.002
Sn 0.782 0.785 0.567
CELL_PARAMETERS angstrom
4.456 0.000 0.000
-0.006 6.918 0.000
-2.218 -3.454 7.352
```


[12]
A plane-wave DFT calculation with r2SCAN was carried out for a geometry-optimized Ca3Tl2O6 structure. Values from VASP.

Quantum ESPRESSO input file:
```
&SYSTEM
  ibrav = 0, nat = 44, ntyp = 3
/
ATOMIC_SPECIES
Ca 40.08 Ca.upf
Tl 204.38 Tl.upf
O 16.00 O.upf
ATOMIC_POSITIONS crystal
Ca 0.104 0.146 0.000
Ca 0.134 0.540 0.000
Ca 0.172 0.775 0.000
Ca 0.328 0.275 0.000
Ca 0.366 0.040 0.000
Ca 0.396 0.646 0.000
Ca 0.604 0.354 0.000
Ca 0.634 0.960 0.000
Ca 0.672 0.725 0.000
Ca 0.828 0.225 0.000
Ca 0.866 0.460 0.000
Ca 0.896 0.854 0.000
Tl 0.085 0.352 0.500
Tl 0.135 0.954 0.500
Tl 0.365 0.454 0.500
Tl 0.415 0.852 0.500
Tl 0.585 0.148 0.500
Tl 0.635 0.546 0.500
Tl 0.865 0.046 0.500
Tl 0.915 0.648 0.500
O 0.000 0.000 0.000
O 0.000 0.500 0.500
O 0.042 0.667 0.000
O 0.053 0.840 0.500
O 0.191 0.239 0.500
O 0.216 0.404 0.000
O 0.219 0.068 0.500
O 0.281 0.568 0.500
O 0.284 0.904 0.000
O 0.309 0.739 0.500
O 0.447 0.340 0.500
O 0.458 0.167 0.000
O 0.500 0.000 0.500
O 0.500 0.500 0.000
O 0.542 0.833 0.000
O 0.553 0.660 0.500
O 0.691 0.261 0.500
O 0.716 0.096 0.000
O 0.719 0.432 0.500
O 0.781 0.932 0.500
O 0.784 0.596 0.000
O 0.809 0.761 0.500
O 0.947 0.160 0.500
O 0.958 0.333 0.000
CELL_PARAMETERS angstrom
11.289 0.000 0.000
0.000 16.549 0.000
0.000 0.000 3.344
```


[13]
A plane-wave DFT calculation with r2SCAN was carried out for a geometry-optimized Pr4Mg7Ge6 structure. Values from VASP.

Quantum ESPRESSO input file:
```
&SYSTEM
  ibrav = 0, nat = 17, ntyp = 3
/
ATOMIC_SPECIES
Pr 140.91 Pr.upf
Mg 24.30 Mg.upf
Ge 72.64 Ge.upf
ATOMIC_POSITIONS crystal
Pr 0.130 0.130 0.341
Pr 0.233 0.233 0.113
Pr 0.767 0.767 0.887
Pr 0.870 0.870 0.659
Mg 0.000 0.000 0.000
Mg 0.190 0.190 0.655
Mg 0.438 0.438 0.104
Mg 0.460 0.460 0.361
Mg 0.540 0.540 0.639
Mg 0.562 0.562 0.896
Mg 0.810 0.810 0.345
Ge 0.108 0.108 0.810
Ge 0.352 0.352 0.474
Ge 0.381 0.381 0.849
Ge 0.619 0.619 0.151
Ge 0.648 0.648 0.526
Ge 0.892 0.892 0.190
CELL_PARAMETERS angstrom
8.377 -2.215 0.000
8.377 2.215 0.000
-6.747 0.000 10.611
```


[14]
A plane-wave DFT calculation with r2SCAN was carried out for a geometry-optimized Pu3I structure. Values from VASP.

Quantum ESPRESSO input file:
```
&SYSTEM
  ibrav = 0, nat = 8, ntyp = 2
/
ATOMIC_SPECIES
Pu 244.00 Pu.upf
I 126.90 I.upf
ATOMIC_POSITIONS crystal
Pu 0.164 0.327 0.250
Pu 0.164 0.836 0.250
Pu 0.327 0.164 0.750
Pu 0.673 0.836 0.250
Pu 0.836 0.164 0.750
Pu 0.836 0.673 0.750
I 0.333 0.667 0.750
I 0.667 0.333 0.250
CELL_PARAMETERS angstrom
6.702 0.000 0.000
-3.351 5.804 0.000
0.000 0.000 5.744
```


[15]
A plane-wave DFT calculation with r2SCAN was carried out for a geometry-optimized Ga structure. Values from VASP.

Relative energy among the computed polymorphs = 89 meV per atom

Quantum ESPRESSO input file:
```
&SYSTEM
  ibrav = 0, nat = 22, ntyp = 1
/
ATOMIC_SPECIES
Ga 69.72 Ga.upf
ATOMIC_POSITIONS crystal
Ga 0.000 0.000 0.000
Ga 0.000 0.500 0.500
Ga 0.021 0.721 0.721
Ga 0.100 0.100 0.613
Ga 0.100 0.613 0.100
Ga 0.279 0.279 0.979
Ga 0.279 0.979 0.279
Ga 0.322 0.322 0.624
Ga 0.322 0.624 0.322
Ga 0.376 0.678 0.678
Ga 0.387 0.900 0.900
Ga 0.500 0.000 0.500
Ga 0.500 0.500 0.000
Ga 0.613 0.100 0.100
Ga 0.624 0.322 0.322
Ga 0.678 0.376 0.678
Ga 0.678 0.678 0.376
Ga 0.721 0.021 0.721
Ga 0.721 0.721 0.021
Ga 0.900 0.387 0.900
Ga 0.900 0.900 0.387
Ga 0.979 0.279 0.279
CELL_PARAMETERS angstrom
4.522 2.611 5.652
-4.522 2.611 5.652
0.000 -5.221 5.652
```


[16]
A plane-wave DFT calculation with r2SCAN was carried out for a geometry-optimized Y3ErTi4Si2O18 structure. Values from VASP.

Quantum ESPRESSO input file:
```
&SYSTEM
  ibrav = 0, nat = 56, ntyp = 5
/
ATOMIC_SPECIES
Y 88.91 Y.upf
Er 167.26 Er.upf
Ti 47.87 Ti.upf
Si 28.09 Si.upf
O 16.00 O.upf
ATOMIC_POSITIONS crystal
Y 0.197 0.000 0.069
Y 0.236 0.279 0.579
Y 0.264 0.003 0.422
Y 0.736 0.503 0.578
Y 0.764 0.779 0.421
Y 0.803 0.500 0.931
Er 0.306 0.282 0.931
Er 0.694 0.782 0.069
Ti 0.052 0.804 0.851
Ti 0.085 0.477 0.360
Ti 0.415 0.805 0.640
Ti 0.448 0.478 0.150
Ti 0.552 0.978 0.850
Ti 0.585 0.305 0.360
Ti 0.915 0.977 0.640
Ti 0.948 0.304 0.149
Si 0.178 0.736 0.247
Si 0.322 0.546 0.753
Si 0.678 0.046 0.247
Si 0.822 0.236 0.753
O 0.054 0.094 0.563
O 0.081 0.193 0.064
O 0.082 0.852 0.553
O 0.116 0.430 0.065
O 0.157 0.241 0.756
O 0.188 0.477 0.644
O 0.229 0.690 0.747
O 0.233 0.933 0.745
O 0.251 0.800 0.134
O 0.255 0.481 0.866
O 0.267 0.349 0.255
O 0.269 0.591 0.254
O 0.312 0.805 0.356
O 0.342 0.042 0.246
O 0.385 0.852 0.936
O 0.418 0.429 0.446
O 0.422 0.091 0.933
O 0.446 0.188 0.438
O 0.554 0.688 0.562
O 0.578 0.591 0.067
O 0.582 0.929 0.554
O 0.615 0.352 0.064
O 0.658 0.542 0.754
O 0.688 0.305 0.644
O 0.731 0.091 0.746
O 0.733 0.849 0.745
O 0.745 0.981 0.134
O 0.749 0.300 0.866
O 0.767 0.433 0.255
O 0.771 0.190 0.253
O 0.812 0.977 0.356
O 0.843 0.741 0.244
O 0.884 0.930 0.935
O 0.918 0.352 0.447
O 0.919 0.693 0.936
O 0.946 0.594 0.437
CELL_PARAMETERS angstrom
4.860 0.000 0.000
0.000 11.131 0.000
-1.213 0.000 12.241
```


[17]
A plane-wave DFT calculation with r2SCAN was carried out for a geometry-optimized SrCuAs structure. Values from VASP.

Quantum ESPRESSO input file:
```
&SYSTEM
  ibrav = 0, nat = 6, ntyp = 3
/
ATOMIC_SPECIES
Sr 87.62 Sr.upf
Cu 63.55 Cu.upf
As 74.92 As.upf
ATOMIC_POSITIONS crystal
Sr 0.000 0.000 0.000
Sr 0.000 0.000 0.500
Cu 0.333 0.667 0.250
Cu 0.667 0.333 0.750
As 0.333 0.667 0.750
As 0.667 0.333 0.250
CELL_PARAMETERS angstrom
4.253 0.000 0.000
-2.126 3.683 0.000
0.000 0.000 8.573
```


Energy? In order: -18.494, -18.362, -15.482, -23.205, -42.160, -13.056, -24.619, -35.480, -25.134, -41.130, -22.036, -16.987, -14.164, -71.128, -11.354, -13.256, -14.495 eV/atom.
Energy of formation from the pure elements? In order: -0.358, -0.472, -0.729, -0.503, -0.476, -0.448, -0.640, -0.812, -0.373, -0.529, -0.577, -2.141, -0.632, -0.221, 0.089, -3.553, -0.929 eV per atom.